Material: Mg14MnB
Method: DFT, PBE-GGA
State: relaxed Values from VASP.

Structure (Quantum ESPRESSO input):
```
&SYSTEM
  ibrav = 0, nat = 16, ntyp = 3
/
ATOMIC_SPECIES
Mg 24.30 Mg.upf
Mn 54.94 Mn.upf
B 10.81 B.upf
ATOMIC_POSITIONS crystal
Mg 0.169 0.834 0.125
Mg 0.165 0.832 0.625
Mg 0.666 0.331 0.125
Mg 0.668 0.335 0.625
Mg 0.666 0.834 0.125
Mg 0.668 0.832 0.625
Mg 0.327 0.173 0.378
Mg 0.327 0.173 0.872
Mg 0.327 0.654 0.378
Mg 0.327 0.654 0.872
Mg 0.846 0.173 0.378
Mg 0.846 0.173 0.872
Mg 0.833 0.667 0.373
Mg 0.833 0.667 0.877
Mn 0.167 0.333 0.125
B 0.167 0.333 0.625
CELL_PARAMETERS angstrom
6.192 0.000 0.000
-3.096 5.362 0.000
0.000 0.000 10.068
```

Total DFT energy (no corrections) in eV for the cell shown: -34.629
Formation enthalpy at 0 K in eV per atom: 0.226
Symmetry: P-6m2

=====

Material: Mg6BMo
Method: DFT, PBE-GGA
State: relaxed Values from VASP.

Structure (Quantum ESPRESSO input):
```
&SYSTEM
  ibrav = 0, nat = 16, ntyp = 3
/
ATOMIC_SPECIES
Mg 24.30 Mg.upf
B 10.81 B.upf
Mo 95.94 Mo.upf
ATOMIC_POSITIONS crystal
Mg 0.500 0.249 0.428
Mg 0.500 0.751 0.428
Mg 0.000 0.755 0.082
Mg 0.000 0.245 0.082
Mg 0.000 0.000 0.324
Mg 0.000 0.500 0.311
Mg 0.500 0.749 0.928
Mg 0.500 0.251 0.928
Mg 0.000 0.255 0.582
Mg 0.000 0.745 0.582
Mg 0.000 0.500 0.824
Mg 0.000 0.000 0.811
B 0.500 0.500 0.166
B 0.500 0.000 0.666
Mo 0.500 0.000 0.179
Mo 0.500 0.500 0.679
CELL_PARAMETERS angstrom
-2.996 3.545 -1.033
-4.097 -2.667 2.731
2.805 5.026 9.114
```

Total DFT energy (no corrections) in eV for the cell shown: -46.189
Formation enthalpy at 0 K in eV per atom: 0.504

=====

Material: Mg14BMo
Method: DFT, PBE-GGA
State: relaxed Values from VASP.

Structure (Quantum ESPRESSO input):
```
&SYSTEM
  ibrav = 0, nat = 16, ntyp = 3
/
ATOMIC_SPECIES
Mg 24.30 Mg.upf
B 10.81 B.upf
Mo 95.94 Mo.upf
ATOMIC_POSITIONS crystal
Mg 0.170 0.335 0.625
Mg 0.168 0.834 0.625
Mg 0.672 0.333 0.125
Mg 0.663 0.332 0.625
Mg 0.672 0.839 0.125
Mg 0.663 0.831 0.625
Mg 0.324 0.160 0.353
Mg 0.324 0.160 0.897
Mg 0.324 0.665 0.353
Mg 0.324 0.665 0.897
Mg 0.843 0.171 0.370
Mg 0.843 0.171 0.880
Mg 0.844 0.672 0.365
Mg 0.844 0.672 0.885
B 0.164 0.832 0.125
Mo 0.158 0.329 0.125
CELL_PARAMETERS angstrom
6.178 0.045 0.000
-3.050 5.283 0.000
0.000 0.000 9.979
```

Total DFT energy (no corrections) in eV for the cell shown: -35.517
Formation enthalpy at 0 K in eV per atom: 0.276
Symmetry: Amm2

=====

Material: Mg14BMo
Method: DFT, PBE-GGA
State: relaxed Values from VASP.

Structure (Quantum ESPRESSO input):
```
&SYSTEM
  ibrav = 0, nat = 16, ntyp = 3
/
ATOMIC_SPECIES
Mg 24.30 Mg.upf
B 10.81 B.upf
Mo 95.94 Mo.upf
ATOMIC_POSITIONS crystal
Mg 0.171 0.835 0.125
Mg 0.165 0.833 0.625
Mg 0.665 0.329 0.125
Mg 0.667 0.335 0.625
Mg 0.665 0.835 0.125
Mg 0.667 0.833 0.625
Mg 0.323 0.177 0.378
Mg 0.323 0.177 0.872
Mg 0.323 0.646 0.378
Mg 0.323 0.646 0.872
Mg 0.854 0.177 0.378
Mg 0.854 0.177 0.872
Mg 0.833 0.667 0.371
Mg 0.833 0.667 0.879
B 0.167 0.333 0.625
Mo 0.167 0.333 0.125
CELL_PARAMETERS angstrom
6.188 0.000 0.000
-3.094 5.359 0.000
0.000 0.000 9.743
```

Total DFT energy (no corrections) in eV for the cell shown: -35.840
Formation enthalpy at 0 K in eV per atom: 0.256
Symmetry: P-6m2

=====

Material: Mg6BMo
Method: DFT, PBE-GGA
State: relaxed Values from VASP.

Structure (Quantum ESPRESSO input):
```
&SYSTEM
  ibrav = 0, nat = 16, ntyp = 3
/
ATOMIC_SPECIES
Mg 24.30 Mg.upf
B 10.81 B.upf
Mo 95.94 Mo.upf
ATOMIC_POSITIONS crystal
Mg 0.000 0.243 0.575
Mg 0.000 0.757 0.575
Mg 0.000 0.500 0.828
Mg 0.500 0.764 0.909
Mg 0.500 0.236 0.909
Mg 0.500 0.500 0.675
Mg 0.000 0.743 0.075
Mg 0.000 0.257 0.075
Mg 0.000 0.000 0.328
Mg 0.500 0.264 0.409
Mg 0.500 0.736 0.409
Mg 0.500 0.000 0.175
B 0.500 0.000 0.738
B 0.500 0.500 0.238
Mo 0.000 0.000 0.790
Mo 0.000 0.500 0.290
CELL_PARAMETERS angstrom
-3.720 -1.738 -1.921
2.852 -5.140 -0.871
-3.521 -3.672 10.136
```

Total DFT energy (no corrections) in eV for the cell shown: -47.834
Formation enthalpy at 0 K in eV per atom: 0.401

=====

Material: Mg3BN3
Method: DFT, PBE-GGA
State: relaxed Values from VASP.

Structure (Quantum ESPRESSO input):
```
&SYSTEM
  ibrav = 0, nat = 14, ntyp = 3
/
ATOMIC_SPECIES
Mg 24.30 Mg.upf
B 10.81 B.upf
N 14.01 N.upf
ATOMIC_POSITIONS crystal
Mg 0.333 0.667 0.378
Mg 0.667 0.333 0.878
Mg 0.667 0.333 0.622
Mg 0.333 0.667 0.122
Mg 0.000 0.000 0.750
Mg 0.000 0.000 0.250
B 0.000 0.000 0.500
B 0.000 0.000 0.000
N 0.000 0.000 0.417
N 0.000 0.000 0.917
N 0.000 0.000 0.583
N 0.000 0.000 0.083
N 0.333 0.667 0.250
N 0.667 0.333 0.750
CELL_PARAMETERS angstrom
-2.159 1.670 2.292
-0.510 -3.449 -0.740
9.800 -4.064 12.191
```

Total DFT energy (no corrections) in eV for the cell shown: -85.184
Formation enthalpy at 0 K in eV per atom: -1.026
Symmetry: P6_3/mmc

=====

Material: NaMg14B
Method: DFT, PBE-GGA
State: relaxed Values from VASP.

Structure (Quantum ESPRESSO input):
```
&SYSTEM
  ibrav = 0, nat = 16, ntyp = 3
/
ATOMIC_SPECIES
Na 22.99 Na.upf
Mg 24.30 Mg.upf
B 10.81 B.upf
ATOMIC_POSITIONS crystal
Na 0.167 0.333 0.125
Mg 0.172 0.836 0.125
Mg 0.160 0.830 0.625
Mg 0.664 0.328 0.125
Mg 0.670 0.340 0.625
Mg 0.664 0.836 0.125
Mg 0.670 0.830 0.625
Mg 0.329 0.171 0.393
Mg 0.329 0.171 0.857
Mg 0.329 0.658 0.393
Mg 0.329 0.658 0.857
Mg 0.842 0.171 0.393
Mg 0.842 0.171 0.857
Mg 0.833 0.667 0.369
Mg 0.833 0.667 0.881
B 0.167 0.333 0.625
CELL_PARAMETERS angstrom
6.277 0.000 0.000
-3.138 5.436 0.000
0.000 0.000 10.385
```

Total DFT energy (no corrections) in eV for the cell shown: -27.086
Formation enthalpy at 0 K in eV per atom: 0.207
Symmetry: P-6m2

=====

Material: NaMg14B
Method: DFT, PBE-GGA
State: relaxed Values from VASP.

Structure (Quantum ESPRESSO input):
```
&SYSTEM
  ibrav = 0, nat = 16, ntyp = 3
/
ATOMIC_SPECIES
Na 22.99 Na.upf
Mg 24.30 Mg.upf
B 10.81 B.upf
ATOMIC_POSITIONS crystal
Na 0.833 0.167 0.500
Mg 0.835 0.165 0.000
Mg 0.333 0.667 0.000
Mg 0.343 0.174 0.500
Mg 0.329 0.164 0.000
Mg 0.826 0.657 0.500
Mg 0.836 0.671 0.000
Mg 0.175 0.348 0.260
Mg 0.175 0.348 0.740
Mg 0.652 0.825 0.260
Mg 0.652 0.825 0.740
Mg 0.664 0.336 0.244
Mg 0.664 0.336 0.756
Mg 0.172 0.828 0.266
Mg 0.172 0.828 0.734
B 0.338 0.662 0.500
CELL_PARAMETERS angstrom
-4.672 2.697 3.226
2.032 -5.707 1.674
6.772 4.247 6.258
```

Total DFT energy (no corrections) in eV for the cell shown: -27.293
Formation enthalpy at 0 K in eV per atom: 0.195
Symmetry: Amm2

=====

| no. | total magnetic moment (μB/atom) |
| --- | --- |
| 1 | 0.2646 |
| 2 | 0.0003 |
| 3 | 0.0801 |
| 4 | 0.0000 |
| 5 | 0.0004 |
| 6 | 0.0003 |
| 7 | 0.0000 |
| 8 | 0.0001 |